1.
Entry from Materials Project: an optimized crystal structure of NaTi2Sn2P5SO24 (GGA-PBE).

abc: 8.664 8.674 22.579
angles: 90.01 89.87 120.03
Element x y z (fractional)
P 0.621 0.666 0.914
P 0.333 0.380 0.419
P 0.666 0.041 0.083
P 0.285 0.282 0.750
P 0.710 0.709 0.250
P 0.045 0.377 0.915
P 0.622 0.956 0.418
P 0.375 0.332 0.083
P 0.291 0.000 0.250
P 0.041 0.664 0.418
P 0.379 0.045 0.583
P 0.999 0.713 0.751
P 0.960 0.627 0.084
P 0.713 0.997 0.749
P 0.000 0.290 0.250
O 0.834 0.526 0.740
O 0.501 0.360 0.428
O 0.173 0.975 0.907
O 0.214 0.035 0.307
O 0.831 0.024 0.089
O 0.972 0.173 0.593
O 0.378 0.493 0.362
O 0.523 0.691 0.255
O 0.164 0.692 0.473
O 0.165 0.695 0.761
O 0.146 0.644 0.077
O 0.976 0.808 0.090
O 0.026 0.831 0.412
O 0.639 0.498 0.919
O 0.883 0.509 0.139
O 0.642 0.143 0.428
O 0.856 0.356 0.919
O 0.500 0.138 0.638
O 0.821 0.786 0.307
O 0.694 0.167 0.740
O 0.360 0.862 0.573
O 0.170 0.199 0.694
O 0.307 0.469 0.759
O 0.035 0.213 0.194
O 0.691 0.523 0.246
O 0.700 0.153 0.026
O 0.967 0.800 0.805
O 0.359 0.501 0.079
O 0.026 0.193 0.904
O 0.699 0.539 0.530
O 0.849 0.550 0.027
O 0.500 0.639 0.860
O 0.193 0.168 0.090
O 0.309 0.832 0.255
O 0.550 0.706 0.971
O 0.178 0.965 0.194
O 0.168 0.476 0.255
O 0.826 0.799 0.593
O 0.964 0.178 0.307
O 0.137 0.499 0.860
O 0.507 0.885 0.362
O 0.832 0.309 0.246
O 0.132 0.492 0.575
O 0.453 0.298 0.026
O 0.363 0.872 0.863
O 0.637 0.507 0.637
O 0.492 0.372 0.139
O 0.802 0.971 0.694
O 0.507 0.638 0.575
O 0.528 0.837 0.761
O 0.309 0.473 0.473
O 0.195 0.027 0.595
O 0.114 0.622 0.362
O 0.871 0.364 0.637
O 0.202 0.167 0.805
O 0.470 0.167 0.529
O 0.627 0.118 0.139
O 0.477 0.168 0.246
O 0.154 0.452 0.971
O 0.787 0.822 0.194
O 0.475 0.309 0.740
O 0.299 0.851 0.970
O 0.807 0.831 0.904
O 0.495 0.135 0.920
O 0.856 0.498 0.429
O 0.806 0.974 0.412
O 0.832 0.035 0.805
O 0.170 0.195 0.413
O 0.496 0.857 0.077
O 0.029 0.831 0.695
O 0.529 0.837 0.473
O 0.841 0.303 0.531
Sn 0.671 0.338 0.982
Sn 0.667 0.333 0.186
Sn 0.001 0.000 0.355
Sn 0.335 0.663 0.020
Sn 0.333 0.666 0.314
Sn 0.000 0.000 0.145
Ti 0.007 0.998 0.648
Ti 0.661 0.324 0.689
Ti 0.657 0.327 0.478
Ti 0.330 0.655 0.808
Ti 0.333 0.673 0.519
Ti 0.990 0.999 0.854
Na 0.670 0.337 0.833
Na 0.333 0.667 0.167
Na 0.667 0.334 0.332
S 0.330 0.955 0.914
S 0.954 0.332 0.583
S 0.667 0.621 0.584

## Properties
The formation energy is -2.657 eV/atom. Its mass density is 3.1 g/cm³. The space group is No. 1. For the total energy, the calculation gives -754.8 eV for the cell shown. Its corrected total energy (MP2020 scheme) is -7.660 eV/atom.

---

2.
Entry from Materials Project: an optimized crystal structure of Mg3Ga (GGA-PBE).

abc: 5.954 5.954 5.954
angles: 150.05 126.61 62.43
Element x y z (fractional)
Mg 0.834 0.500 0.334
Mg 0.748 0.748 0.000
Mg 0.252 0.252 0.000
Ga 0.332 0.000 0.332

## Properties
The formation energy is -0.054 eV/atom. Its mass density is 2.8 g/cm³. The space group is No. 44. For the total energy, the calculation gives -8.0 eV for the cell shown.

---

3.
Entry from Materials Project: an optimized crystal structure of LiHg2Os (GGA-PBE).

abc: 4.633 4.633 4.633
angles: 60.00 60.00 60.00
Element x y z (fractional)
Hg 0.250 0.250 0.250
Hg 0.000 0.000 0.000
Os 0.750 0.750 0.750
Li 0.500 0.500 0.500

## Properties
The formation energy is 0.696 eV/atom. Its mass density is 14.1 g/cm³. The space group is No. 216. For the total energy, the calculation gives -11.0 eV for the cell shown.

---

4.
Entry from Materials Project: an optimized crystal structure of Na2Nb2Al2Si3S3O24 (GGA-PBE).

abc: 8.692 8.686 22.536
angles: 89.63 90.67 119.71
Element x y z (fractional)
O 0.150 0.636 0.077
O 0.504 0.859 0.074
O 0.541 0.834 0.475
O 0.024 0.190 0.191
O 0.840 0.028 0.811
O 0.971 0.157 0.309
O 0.488 0.356 0.424
O 0.460 0.307 0.028
O 0.201 0.025 0.590
O 0.155 0.691 0.757
O 0.158 0.461 0.972
O 0.182 0.477 0.256
O 0.694 0.531 0.241
O 0.174 0.693 0.478
O 0.689 0.523 0.527
O 0.359 0.863 0.579
O 0.364 0.502 0.072
O 0.822 0.787 0.304
O 0.459 0.151 0.531
O 0.871 0.358 0.638
O 0.528 0.839 0.758
O 0.630 0.119 0.136
O 0.142 0.971 0.907
O 0.166 0.194 0.692
O 0.686 0.151 0.029
O 0.125 0.486 0.865
O 0.489 0.314 0.743
O 0.972 0.815 0.088
O 0.847 0.490 0.141
O 0.134 0.495 0.578
O 0.200 0.181 0.086
O 0.306 0.461 0.472
O 0.860 0.503 0.425
O 0.868 0.360 0.924
O 0.640 0.494 0.643
O 0.511 0.637 0.864
O 0.130 0.633 0.360
O 0.479 0.637 0.575
O 0.490 0.189 0.236
O 0.031 0.851 0.408
O 0.536 0.691 0.254
O 0.203 0.167 0.809
O 0.533 0.689 0.972
O 0.832 0.522 0.026
O 0.501 0.860 0.359
O 0.797 0.828 0.912
O 0.197 0.033 0.309
O 0.030 0.821 0.697
O 0.172 0.969 0.192
O 0.802 0.969 0.693
O 0.974 0.176 0.588
O 0.486 0.365 0.136
O 0.793 0.820 0.196
O 0.639 0.508 0.923
O 0.836 0.810 0.592
O 0.363 0.487 0.364
O 0.701 0.188 0.738
O 0.846 0.305 0.530
O 0.840 0.532 0.744
O 0.829 0.312 0.243
O 0.358 0.861 0.860
O 0.822 0.025 0.087
O 0.639 0.145 0.426
O 0.305 0.480 0.760
O 0.302 0.832 0.975
O 0.828 0.982 0.407
O 0.489 0.124 0.638
O 0.025 0.198 0.913
O 0.969 0.792 0.805
O 0.499 0.148 0.926
O 0.317 0.838 0.254
O 0.172 0.201 0.412
Nb 0.677 0.346 0.474
Nb 0.347 0.683 0.807
Nb 0.320 0.676 0.312
Nb 0.666 0.335 0.979
Nb 0.989 0.002 0.644
Nb 0.007 0.996 0.150
Si 0.633 0.950 0.418
Si 0.730 0.024 0.753
Si 0.315 0.949 0.918
Si 0.997 0.283 0.254
Si 0.957 0.617 0.088
Si 0.061 0.688 0.421
Si 0.293 0.283 0.752
Si 0.303 0.023 0.254
Si 0.649 0.611 0.586
Al 0.356 0.683 0.515
Al 0.687 0.338 0.193
Al 0.643 0.326 0.688
Al 0.019 0.014 0.849
Al 0.311 0.674 0.021
Al 0.005 0.006 0.355
S 0.621 0.675 0.919
S 0.382 0.042 0.584
S 0.659 0.038 0.084
S 0.713 0.707 0.251
S 0.991 0.710 0.751
S 0.380 0.343 0.083
S 0.051 0.378 0.918
S 0.326 0.378 0.418
S 0.957 0.343 0.585
Na 0.005 0.992 0.997
Na 0.989 0.987 0.492
Na 0.670 0.323 0.328
Na 0.655 0.321 0.826
Na 0.342 0.662 0.660
Na 0.320 0.662 0.168

## Properties
The formation energy is -2.647 eV/atom. Its mass density is 2.9 g/cm³. The space group is No. 1. For the total energy, the calculation gives -769.7 eV for the cell shown. Its corrected total energy (MP2020 scheme) is -7.585 eV/atom.

---

5.
Entry from Materials Project: an optimized crystal structure of Hf9Re4B (GGA-PBE).

abc: 8.443 8.443 8.578
angles: 90.00 90.00 120.00
Element x y z (fractional)
Hf 0.799 0.598 0.554
Hf 0.201 0.402 0.054
Hf 0.799 0.598 0.946
Hf 0.540 0.460 0.250
Hf 0.920 0.460 0.250
Hf 0.080 0.540 0.750
Hf 0.460 0.920 0.750
Hf 0.402 0.201 0.946
Hf 0.540 0.080 0.250
Hf 0.201 0.799 0.054
Hf 0.799 0.201 0.554
Hf 0.598 0.799 0.446
Hf 0.598 0.799 0.054
Hf 0.799 0.201 0.946
Hf 0.460 0.540 0.750
Hf 0.402 0.201 0.554
Hf 0.201 0.799 0.446
Hf 0.201 0.402 0.446
B 0.667 0.333 0.750
B 0.333 0.667 0.250
Re 0.110 0.221 0.750
Re 0.890 0.779 0.250
Re 0.779 0.890 0.750
Re 0.890 0.110 0.250
Re 0.000 0.000 0.500
Re 0.110 0.890 0.750
Re 0.221 0.110 0.250
Re 0.000 0.000 0.000

## Properties
The formation energy is -0.341 eV/atom. Its mass density is 14.8 g/cm³. The space group is No. 194. For the total energy, the calculation gives -301.7 eV for the cell shown.

---

6.
Entry from Materials Project: an optimized crystal structure of CsSrMg6 (GGA-PBE).

abc: 5.223 7.234 14.121
angles: 90.00 90.00 90.00
Element x y z (fractional)
Mg 0.500 0.243 0.923
Mg 0.500 0.743 0.423
Mg 0.000 0.500 0.358
Mg 0.000 0.765 0.541
Mg 0.500 0.257 0.423
Mg 0.000 0.000 0.858
Mg 0.000 0.265 0.041
Mg 0.500 0.757 0.923
Mg 0.000 0.000 0.365
Mg 0.000 0.235 0.541
Mg 0.000 0.500 0.865
Mg 0.000 0.735 0.041
Cs 0.500 0.000 0.179
Cs 0.500 0.500 0.679
Sr 0.500 0.000 0.671
Sr 0.500 0.500 0.171

## Properties
The formation energy is 0.227 eV/atom. Its mass density is 2.3 g/cm³. For the energy above the most stable polymorph in this dataset, the calculation gives 0.000 eV per atom. For the total energy, the calculation gives -20.7 eV for the cell shown.

---

7.
Entry from Materials Project: an optimized crystal structure of NaCaSiHO4 (GGA-PBE).

abc: 7.114 5.462 5.529
angles: 63.39 90.00 90.00
Element x y z (fractional)
Na 0.767 0.362 0.260
Na 0.267 0.638 0.740
O 0.075 0.206 0.290
O 0.260 0.234 0.703
O 0.760 0.766 0.297
O 0.262 0.673 0.196
O 0.452 0.208 0.298
O 0.952 0.792 0.702
O 0.762 0.327 0.804
O 0.575 0.794 0.710
H 0.001 0.964 0.530
H 0.501 0.036 0.470
Si 0.255 0.341 0.374
Si 0.755 0.659 0.626
Ca 0.013 0.004 0.006
Ca 0.513 0.996 0.994

## Properties
The formation energy is -2.783 eV/atom. Its mass density is 2.7 g/cm³. The space group is No. 4. For the total energy, the calculation gives -102.9 eV for the cell shown. The maximum piezoelectric response comes out at 0.15 C/m². Its corrected total energy (MP2020 scheme) is -6.775 eV/atom.

---

8.
Entry from Materials Project: an optimized crystal structure of MgTe2Mo2W2Se4S2 (GGA-PBE).

abc: 3.336 3.336 45.826
angles: 89.93 90.00 120.00
Element x y z (fractional)
W 0.667 0.334 0.290
W 0.333 0.666 0.470
Mo 0.333 0.666 0.086
Mo 0.667 0.334 0.658
Mg 0.000 0.000 0.184
Te 0.333 0.666 0.699
Te 0.334 0.668 0.616
Se 0.667 0.334 0.050
Se 0.666 0.332 0.123
Se 0.334 0.668 0.253
Se 0.333 0.666 0.327
S 0.666 0.332 0.503
S 0.667 0.334 0.436

## Properties
The formation energy is -0.540 eV/atom. Its mass density is 4.6 g/cm³. For the energy above the most stable polymorph in this dataset, the calculation gives 0.006 eV per atom. The space group is No. 8. For the total energy, the calculation gives -83.8 eV for the cell shown. Its corrected total energy (MP2020 scheme) is -6.521 eV/atom.

---

| no. | calculated volume (Å³ per cell) |
| --- | --- |
| 1 | 1469 |
| 2 | 84 |
| 3 | 70 |
| 4 | 1478 |
| 5 | 530 |
| 6 | 534 |
| 7 | 192 |
| 8 | 442 |